Entry 1:
HfV2O7 | r²SCAN | relaxed

Cell and atoms, written as CIF:
```
data_HfV2O7
_cell_length_a 8.867
_cell_length_b 8.867
_cell_length_c 8.867
_cell_angle_alpha 90.00
_cell_angle_beta 90.00
_cell_angle_gamma 90.00
_space_group_name_H-M_alt 'P 1'
_space_group_IT_number 1
_space_group_name_Hall 'P 1'
loop_
_atom_site_label
_atom_site_fract_x
_atom_site_fract_y
_atom_site_fract_z
Hf1 0.000 0.000 0.000
Hf2 0.000 0.500 0.500
Hf3 0.500 0.000 0.500
Hf4 0.500 0.500 0.000
V1 0.115 0.615 0.885
V2 0.115 0.885 0.385
V3 0.385 0.115 0.885
V4 0.385 0.385 0.385
V5 0.615 0.615 0.615
V6 0.615 0.885 0.115
V7 0.885 0.115 0.615
V8 0.885 0.385 0.115
O1 0.000 0.000 0.500
O2 0.000 0.500 0.000
O3 0.063 0.702 0.407
O4 0.063 0.798 0.907
O5 0.093 0.563 0.702
O6 0.093 0.937 0.202
O7 0.202 0.093 0.937
O8 0.202 0.407 0.437
O9 0.298 0.593 0.937
O10 0.298 0.907 0.437
O11 0.407 0.063 0.702
O12 0.407 0.437 0.202
O13 0.437 0.202 0.407
O14 0.437 0.298 0.907
O15 0.500 0.000 0.000
O16 0.500 0.500 0.500
O17 0.563 0.702 0.093
O18 0.563 0.798 0.593
O19 0.593 0.563 0.798
O20 0.593 0.937 0.298
O21 0.702 0.093 0.563
O22 0.702 0.407 0.063
O23 0.798 0.593 0.563
O24 0.798 0.907 0.063
O25 0.907 0.063 0.798
O26 0.907 0.437 0.298
O27 0.937 0.202 0.093
O28 0.937 0.298 0.593
```

Calculated values
V in Å³/atom: 17.43


Entry 2:
Tm5Re2O12 | r²SCAN | relaxed

Cell and atoms, written as CIF:
```
data_Tm5Re2O12
_cell_length_a 6.701
_cell_length_b 6.701
_cell_length_c 7.387
_cell_angle_alpha 106.27
_cell_angle_beta 106.27
_cell_angle_gamma 49.19
_space_group_name_H-M_alt 'P 1'
_space_group_IT_number 1
_space_group_name_Hall 'P 1'
loop_
_atom_site_label
_atom_site_fract_x
_atom_site_fract_y
_atom_site_fract_z
Tm1 0.000 0.000 0.000
Tm2 0.302 0.302 0.140
Tm3 0.315 0.315 0.678
Tm4 0.685 0.685 0.322
Tm5 0.698 0.698 0.860
Re1 0.214 0.786 0.500
Re2 0.786 0.214 0.500
O1 0.002 0.002 0.291
O2 0.087 0.578 0.413
O3 0.099 0.594 0.928
O4 0.406 0.901 0.072
O5 0.422 0.913 0.587
O6 0.499 0.499 0.318
O7 0.501 0.501 0.682
O8 0.578 0.087 0.413
O9 0.594 0.099 0.928
O10 0.901 0.406 0.072
O11 0.913 0.422 0.587
O12 0.998 0.998 0.709
```

Calculated values
V in Å³/atom: 12.57


Entry 3:
RbH3O2 | r²SCAN | relaxed

Cell and atoms, written as CIF:
```
data_RbH3O2
_cell_length_a 5.833
_cell_length_b 5.833
_cell_length_c 5.940
_cell_angle_alpha 90.00
_cell_angle_beta 90.00
_cell_angle_gamma 137.57
_space_group_name_H-M_alt 'P 1'
_space_group_IT_number 1
_space_group_name_Hall 'P 1'
loop_
_atom_site_label
_atom_site_fract_x
_atom_site_fract_y
_atom_site_fract_z
Rb1 0.154 0.846 0.500
Rb2 0.846 0.154 0.000
H1 0.085 0.301 0.535
H2 0.301 0.085 0.035
H3 0.490 0.510 0.757
H4 0.510 0.490 0.257
H5 0.699 0.915 0.535
H6 0.915 0.699 0.035
O1 0.159 0.841 0.991
O2 0.467 0.533 0.599
O3 0.533 0.467 0.099
O4 0.841 0.159 0.491
```

Calculated values
V in Å³/atom: 11.36


Entry 4:
ThP2O7 | r²SCAN | relaxed

Cell and atoms, written as CIF:
```
data_ThP2O7
_cell_length_a 8.967
_cell_length_b 8.967
_cell_length_c 8.967
_cell_angle_alpha 90.00
_cell_angle_beta 90.00
_cell_angle_gamma 90.00
_space_group_name_H-M_alt 'P 1'
_space_group_IT_number 1
_space_group_name_Hall 'P 1'
loop_
_atom_site_label
_atom_site_fract_x
_atom_site_fract_y
_atom_site_fract_z
Th1 0.000 0.000 0.000
Th2 0.000 0.500 0.500
Th3 0.500 0.000 0.500
Th4 0.500 0.500 0.000
P1 0.101 0.601 0.899
P2 0.101 0.899 0.399
P3 0.399 0.101 0.899
P4 0.399 0.399 0.399
P5 0.601 0.601 0.601
P6 0.601 0.899 0.101
P7 0.899 0.101 0.601
P8 0.899 0.399 0.101
O1 0.000 0.000 0.500
O2 0.000 0.500 0.000
O3 0.056 0.739 0.429
O4 0.056 0.761 0.929
O5 0.071 0.556 0.739
O6 0.071 0.944 0.239
O7 0.239 0.071 0.944
O8 0.239 0.429 0.444
O9 0.261 0.571 0.944
O10 0.261 0.929 0.444
O11 0.429 0.056 0.739
O12 0.429 0.444 0.239
O13 0.444 0.239 0.429
O14 0.444 0.261 0.929
O15 0.500 0.000 0.000
O16 0.500 0.500 0.500
O17 0.556 0.739 0.071
O18 0.556 0.761 0.571
O19 0.571 0.556 0.761
O20 0.571 0.944 0.261
O21 0.739 0.071 0.556
O22 0.739 0.429 0.056
O23 0.761 0.571 0.556
O24 0.761 0.929 0.056
O25 0.929 0.056 0.761
O26 0.929 0.444 0.261
O27 0.944 0.239 0.071
O28 0.944 0.261 0.571
```

Calculated values
V in Å³/atom: 18.03


Entry 5:
YTmAl2 | r²SCAN | relaxed

Cell and atoms, written as CIF:
```
data_YTmAl2
_cell_length_a 7.130
_cell_length_b 7.130
_cell_length_c 7.130
_cell_angle_alpha 90.00
_cell_angle_beta 90.00
_cell_angle_gamma 90.00
_space_group_name_H-M_alt 'P 1'
_space_group_IT_number 1
_space_group_name_Hall 'P 1'
loop_
_atom_site_label
_atom_site_fract_x
_atom_site_fract_y
_atom_site_fract_z
Y1 0.000 0.000 0.000
Y2 0.000 0.500 0.500
Y3 0.500 0.000 0.500
Y4 0.500 0.500 0.000
Tm1 0.000 0.000 0.500
Tm2 0.000 0.500 0.000
Tm3 0.500 0.000 0.000
Tm4 0.500 0.500 0.500
Al1 0.250 0.250 0.250
Al2 0.250 0.250 0.750
Al3 0.250 0.750 0.250
Al4 0.250 0.750 0.750
Al5 0.750 0.250 0.250
Al6 0.750 0.250 0.750
Al7 0.750 0.750 0.250
Al8 0.750 0.750 0.750
```

Calculated values
V in Å³/atom: 22.66


Entry 6:
Na5P3O10 | r²SCAN | relaxed

Cell and atoms, written as CIF:
```
data_Na5P3O10
_cell_length_a 5.496
_cell_length_b 5.496
_cell_length_c 18.392
_cell_angle_alpha 96.13
_cell_angle_beta 96.13
_cell_angle_gamma 57.79
_space_group_name_H-M_alt 'P 1'
_space_group_IT_number 1
_space_group_name_Hall 'P 1'
loop_
_atom_site_label
_atom_site_fract_x
_atom_site_fract_y
_atom_site_fract_z
Na1 0.000 0.500 0.500
Na2 0.038 0.394 0.325
Na3 0.157 0.694 0.934
Na4 0.306 0.843 0.566
Na5 0.394 0.038 0.825
Na6 0.500 0.000 0.000
Na7 0.606 0.962 0.175
Na8 0.694 0.157 0.434
Na9 0.843 0.306 0.066
Na10 0.962 0.606 0.675
P1 0.189 0.645 0.099
P2 0.355 0.811 0.401
P3 0.399 0.601 0.250
P4 0.601 0.399 0.750
P5 0.645 0.189 0.599
P6 0.811 0.355 0.901
O1 0.104 0.306 0.925
O2 0.154 0.760 0.186
O3 0.164 0.743 0.437
O4 0.240 0.846 0.314
O5 0.257 0.836 0.063
O6 0.306 0.104 0.425
O7 0.332 0.418 0.767
O8 0.332 0.431 0.597
O9 0.418 0.332 0.267
O10 0.431 0.332 0.097
O11 0.569 0.668 0.903
O12 0.582 0.668 0.733
O13 0.668 0.569 0.403
O14 0.668 0.582 0.233
O15 0.694 0.896 0.575
O16 0.743 0.164 0.937
O17 0.760 0.154 0.686
O18 0.836 0.257 0.563
O19 0.846 0.240 0.814
O20 0.896 0.694 0.075
```

Calculated values
V in Å³/atom: 12.96


Entry 7:
HfGeRh | r²SCAN | relaxed

Cell and atoms, written as CIF:
```
data_HfGeRh
_cell_length_a 6.570
_cell_length_b 6.570
_cell_length_c 3.914
_cell_angle_alpha 90.00
_cell_angle_beta 90.00
_cell_angle_gamma 120.00
_space_group_name_H-M_alt 'P 1'
_space_group_IT_number 1
_space_group_name_Hall 'P 1'
loop_
_atom_site_label
_atom_site_fract_x
_atom_site_fract_y
_atom_site_fract_z
Hf1 0.000 0.574 0.000
Hf2 0.426 0.426 0.000
Hf3 0.574 0.000 0.000
Ge1 0.000 0.000 0.000
Ge2 0.333 0.667 0.500
Ge3 0.667 0.333 0.500
Rh1 0.000 0.248 0.500
Rh2 0.248 0.000 0.500
Rh3 0.752 0.752 0.500
```

Calculated values
V in Å³/atom: 16.26


Entry 8:
TmTi2Ga4 | r²SCAN | relaxed

Cell and atoms, written as CIF:
```
data_TmTi2Ga4
_cell_length_a 6.676
_cell_length_b 6.676
_cell_length_c 5.422
_cell_angle_alpha 90.00
_cell_angle_beta 90.00
_cell_angle_gamma 90.00
_space_group_name_H-M_alt 'P 1'
_space_group_IT_number 1
_space_group_name_Hall 'P 1'
loop_
_atom_site_label
_atom_site_fract_x
_atom_site_fract_y
_atom_site_fract_z
Tm1 0.000 0.000 0.000
Tm2 0.500 0.500 0.500
Ti1 0.000 0.500 0.250
Ti2 0.000 0.500 0.750
Ti3 0.500 0.000 0.250
Ti4 0.500 0.000 0.750
Ga1 0.197 0.197 0.500
Ga2 0.197 0.803 0.500
Ga3 0.303 0.303 0.000
Ga4 0.303 0.697 0.000
Ga5 0.697 0.303 0.000
Ga6 0.697 0.697 0.000
Ga7 0.803 0.197 0.500
Ga8 0.803 0.803 0.500
```

Calculated values
V in Å³/atom: 17.26


Entry 9:
YbCu2Ni3 | r²SCAN | relaxed

Cell and atoms, written as CIF:
```
data_YbCu2Ni3
_cell_length_a 4.844
_cell_length_b 4.844
_cell_length_c 3.926
_cell_angle_alpha 90.00
_cell_angle_beta 90.00
_cell_angle_gamma 120.00
_space_group_name_H-M_alt 'P 1'
_space_group_IT_number 1
_space_group_name_Hall 'P 1'
loop_
_atom_site_label
_atom_site_fract_x
_atom_site_fract_y
_atom_site_fract_z
Yb1 0.000 0.000 0.000
Cu1 0.333 0.667 0.000
Cu2 0.667 0.333 0.000
Ni1 0.000 0.500 0.500
Ni2 0.500 0.000 0.500
Ni3 0.500 0.500 0.500
```

Calculated values
V in Å³/atom: 13.29


Entry 10:
Ga | r²SCAN | relaxed

Cell and atoms, written as CIF:
```
data_Ga
_cell_length_a 2.778
_cell_length_b 3.282
_cell_length_c 4.210
_cell_angle_alpha 90.00
_cell_angle_beta 108.61
_cell_angle_gamma 90.00
_space_group_name_H-M_alt 'P 1'
_space_group_IT_number 1
_space_group_name_Hall 'P 1'
loop_
_atom_site_label
_atom_site_fract_x
_atom_site_fract_y
_atom_site_fract_z
Ga1 0.135 0.250 0.270
Ga2 0.865 0.750 0.730
```

Calculated values
V in Å³/atom: 18.19


Entry 11:
TbNi | r²SCAN | relaxed

Cell and atoms, written as CIF:
```
data_TbNi
_cell_length_a 5.367
_cell_length_b 4.223
_cell_length_c 21.103
_cell_angle_alpha 90.00
_cell_angle_beta 96.96
_cell_angle_gamma 90.00
_space_group_name_H-M_alt 'P 1'
_space_group_IT_number 1
_space_group_name_Hall 'P 1'
loop_
_atom_site_label
_atom_site_fract_x
_atom_site_fract_y
_atom_site_fract_z
Tb1 0.001 0.250 0.227
Tb2 0.162 0.250 0.560
Tb3 0.164 0.250 0.060
Tb4 0.315 0.250 0.393
Tb5 0.325 0.250 0.894
Tb6 0.478 0.250 0.727
Tb7 0.522 0.750 0.273
Tb8 0.675 0.750 0.106
Tb9 0.685 0.750 0.607
Tb10 0.836 0.750 0.940
Tb11 0.838 0.750 0.440
Tb12 0.999 0.750 0.773
Ni1 0.037 0.750 0.320
Ni2 0.200 0.750 0.655
Ni3 0.207 0.750 0.154
Ni4 0.369 0.750 0.988
Ni5 0.370 0.750 0.488
Ni6 0.469 0.250 0.178
Ni7 0.531 0.750 0.822
Ni8 0.630 0.250 0.512
Ni9 0.631 0.250 0.012
Ni10 0.793 0.250 0.846
Ni11 0.800 0.250 0.345
Ni12 0.963 0.250 0.680
```

Calculated values
V in Å³/atom: 19.78


Entry 12:
Na4WO5 | r²SCAN | relaxed

Cell and atoms, written as CIF:
```
data_Na4WO5
_cell_length_a 5.623
_cell_length_b 5.646
_cell_length_c 8.416
_cell_angle_alpha 101.42
_cell_angle_beta 109.17
_cell_angle_gamma 102.05
_space_group_name_H-M_alt 'P 1'
_space_group_IT_number 1
_space_group_name_Hall 'P 1'
loop_
_atom_site_label
_atom_site_fract_x
_atom_site_fract_y
_atom_site_fract_z
Na1 0.000 0.000 0.000
Na2 0.000 0.500 0.500
Na3 0.193 0.486 0.904
Na4 0.197 0.002 0.397
Na5 0.379 0.491 0.293
Na6 0.621 0.509 0.707
Na7 0.803 0.998 0.603
Na8 0.807 0.514 0.096
W1 0.398 0.997 0.793
W2 0.602 0.003 0.207
O1 0.063 0.779 0.758
O2 0.239 0.211 0.683
O3 0.258 0.786 0.156
O4 0.407 0.779 0.597
O5 0.422 0.194 0.037
O6 0.578 0.806 0.963
O7 0.593 0.221 0.403
O8 0.742 0.214 0.844
O9 0.761 0.789 0.317
O10 0.937 0.221 0.242
```

Calculated values
V in Å³/atom: 11.82


| no. | energy of formation (eV/atom) |
| --- | --- |
| 1 | -2.9151 |
| 2 | -3.2420 |
| 3 | -1.2962 |
| 4 | -3.0069 |
| 5 | -0.4351 |
| 6 | -2.4427 |
| 7 | -0.9355 |
| 8 | -0.5928 |
| 9 | -0.2754 |
| 10 | 0.0834 |
| 11 | -0.4051 |
| 12 | -2.1912 |